i.
Entry from Materials Project: LiVF4 after structural relaxation (GGA+U).

Properties
SG ... P2/c (13)

a b c (Å): 4.716 5.647 5.219
angles (deg): 90.00 93.59 90.00
Element x y z (fractional)
Li  0.000  0.135  0.250
Li  0.000  0.865  0.750
V  0.500  0.345  0.750
V  0.500  0.655  0.250
F  0.236  0.128  0.588
F  0.236  0.872  0.088
F  0.282  0.386  0.077
F  0.282  0.614  0.577
F  0.718  0.386  0.423
F  0.718  0.614  0.923
F  0.764  0.128  0.912
F  0.764  0.872  0.412

ii.
Entry from Materials Project: LiVF4 after structural relaxation (GGA+U).

Properties
SG ... Pmmn (59)
Total magnetization ... 2.00 μB per formula unit

a b c (Å): 11.175 15.462 3.976
angles (deg): 90.00 90.00 90.00
Element x y z (fractional)
Li  0.000  0.000  0.000
Li  0.000  0.500  0.000
Li  0.250  0.104  0.485
Li  0.250  0.396  0.485
Li  0.500  0.000  0.000
Li  0.500  0.500  0.000
Li  0.750  0.604  0.515
Li  0.750  0.896  0.515
V  0.017  0.250  0.217
V  0.250  0.582  0.739
V  0.250  0.918  0.739
V  0.483  0.250  0.217
V  0.517  0.750  0.783
V  0.750  0.082  0.261
V  0.750  0.418  0.261
V  0.983  0.750  0.783
F  0.014  0.250  0.718
F  0.117  0.664  0.776
F  0.117  0.836  0.776
F  0.126  0.155  0.220
F  0.126  0.345  0.220
F  0.130  0.012  0.714
F  0.130  0.488  0.714
F  0.250  0.578  0.240
F  0.250  0.922  0.240
F  0.370  0.012  0.714
F  0.370  0.488  0.714
F  0.374  0.155  0.220
F  0.374  0.345  0.220
F  0.383  0.664  0.776
F  0.383  0.836  0.776
F  0.486  0.250  0.718
F  0.514  0.750  0.282
F  0.617  0.164  0.224
F  0.617  0.336  0.224
F  0.626  0.655  0.780
F  0.626  0.845  0.780
F  0.630  0.512  0.286
F  0.630  0.988  0.286
F  0.750  0.078  0.760
F  0.750  0.422  0.760
F  0.870  0.512  0.286
F  0.870  0.988  0.286
F  0.874  0.655  0.780
F  0.874  0.845  0.780
F  0.883  0.164  0.224
F  0.883  0.336  0.224
F  0.986  0.750  0.282

List of relative energies, unit meV/atom: i 0; ii 65

i.
Entry from Materials Project: LiVF4 after structural relaxation (GGA+U).

Properties
SG ... C2/c (15)
Total magnetization ... 2.00 μB per formula unit

a b c (Å): 6.184 6.184 5.121
angles (deg): 108.38 108.38 58.81
Element x y z (fractional)
Li  0.000  0.500  0.000
Li  0.500  0.000  0.500
V  0.150  0.850  0.750
V  0.850  0.150  0.250
F  0.008  0.790  0.326
F  0.208  0.543  0.813
F  0.210  0.992  0.174
F  0.457  0.792  0.687
F  0.543  0.208  0.313
F  0.790  0.008  0.826
F  0.792  0.457  0.187
F  0.992  0.210  0.674

ii.
Entry from Materials Project: LiVF4 after structural relaxation (GGA+U).

Properties
SG ... P2_12_12_1 (19)
Total magnetization ... 2.00 μB per formula unit

a b c (Å): 5.437 6.401 9.073
angles (deg): 90.00 90.00 90.00
Element x y z (fractional)
Li  0.008  0.031  0.091
Li  0.492  0.969  0.591
Li  0.508  0.469  0.909
Li  0.992  0.531  0.409
V  0.013  0.232  0.758
V  0.487  0.768  0.258
V  0.513  0.268  0.242
V  0.987  0.732  0.742
F  0.088  0.957  0.881
F  0.157  0.800  0.193
F  0.158  0.509  0.856
F  0.231  0.766  0.594
F  0.269  0.234  0.094
F  0.342  0.491  0.356
F  0.343  0.200  0.693
F  0.412  0.043  0.381
F  0.588  0.543  0.119
F  0.657  0.700  0.807
F  0.658  0.991  0.144
F  0.731  0.734  0.406
F  0.769  0.266  0.906
F  0.842  0.009  0.644
F  0.843  0.300  0.307
F  0.912  0.457  0.619

List of relative energies, unit meV/atom: i 10; ii 0

i.
Entry from Materials Project: Li2MnP2O7 after structural relaxation (GGA+U).

Properties
Total magnetization ... 0.00 μB per formula unit

a b c (Å): 7.370 8.386 10.459
angles (deg): 94.17 98.61 65.63
Element x y z (fractional)
O  0.852  0.996  0.335
O  0.457  0.343  0.777
O  0.368  0.145  0.609
O  0.961  0.667  0.300
O  0.632  0.855  0.891
O  0.147  0.004  0.665
O  0.543  0.657  0.223
O  0.039  0.333  0.700
O  0.853  0.996  0.835
O  0.310  0.454  0.046
O  0.661  0.212  0.589
O  0.040  0.203  0.970
O  0.661  0.212  0.089
O  0.690  0.546  0.954
O  0.338  0.788  0.411
O  0.457  0.343  0.277
O  0.961  0.667  0.800
O  0.690  0.546  0.454
O  0.632  0.855  0.391
O  0.040  0.203  0.470
O  0.368  0.145  0.109
O  0.339  0.788  0.911
O  0.039  0.333  0.200
O  0.543  0.657  0.723
O  0.960  0.797  0.030
O  0.960  0.797  0.530
O  0.147  0.004  0.165
O  0.310  0.454  0.546
Li  0.824  0.566  0.150
Li  0.176  0.434  0.350
Li  0.131  0.008  0.350
Li  0.176  0.434  0.850
Li  0.131  0.008  0.850
Li  0.869  0.992  0.150
Li  0.824  0.566  0.650
Li  0.869  0.992  0.650
P  0.865  0.823  0.888
P  0.549  0.701  0.868
P  0.865  0.823  0.388
P  0.451  0.299  0.632
P  0.135  0.177  0.112
P  0.451  0.299  0.132
P  0.549  0.701  0.368
P  0.135  0.177  0.612
Mn  0.278  0.720  0.088
Mn  0.278  0.720  0.588
Mn  0.722  0.280  0.412
Mn  0.722  0.280  0.912

ii.
Entry from Materials Project: Li2MnP2O7 after structural relaxation (GGA+U).

Properties
SG ... P2_1/c (14)
Total magnetization ... 5.00 μB per formula unit

a b c (Å): 5.132 13.878 9.338
angles (deg): 90.00 120.74 90.00
Element x y z (fractional)
Li  0.042  0.092  0.361
Li  0.042  0.408  0.861
Li  0.425  0.191  0.169
Li  0.425  0.309  0.669
Li  0.575  0.691  0.331
Li  0.575  0.809  0.831
Li  0.958  0.592  0.139
Li  0.958  0.908  0.639
Mn  0.019  0.164  0.729
Mn  0.019  0.336  0.229
Mn  0.981  0.664  0.771
Mn  0.981  0.836  0.271
P  0.275  0.675  0.536
P  0.275  0.825  0.036
P  0.481  0.527  0.779
P  0.481  0.973  0.279
P  0.519  0.027  0.721
P  0.519  0.473  0.221
P  0.725  0.175  0.964
P  0.725  0.325  0.464
O  0.000  0.188  0.141
O  0.000  0.312  0.641
O  0.000  0.688  0.359
O  0.000  0.812  0.859
O  0.228  0.727  0.665
O  0.228  0.773  0.165
O  0.229  0.532  0.823
O  0.229  0.968  0.323
O  0.263  0.102  0.621
O  0.263  0.398  0.121
O  0.307  0.561  0.581
O  0.307  0.939  0.081
O  0.397  0.572  0.219
O  0.397  0.928  0.719
O  0.427  0.203  0.955
O  0.427  0.297  0.455
O  0.573  0.703  0.545
O  0.573  0.797  0.045
O  0.603  0.072  0.281
O  0.603  0.428  0.781
O  0.693  0.061  0.919
O  0.693  0.439  0.419
O  0.737  0.602  0.879
O  0.737  0.898  0.379
O  0.771  0.032  0.677
O  0.771  0.468  0.177
O  0.772  0.227  0.835
O  0.772  0.273  0.335

List of relative energies, unit meV/atom: i 0; ii 18

i.
Entry from Materials Project: Fe4O3F5 after structural relaxation (GGA+U).

Properties
SG ... P1 (1)
Total magnetization ... 19.00 μB per formula unit

a b c (Å): 4.784 7.815 7.849
angles (deg): 104.10 91.66 91.96
Element x y z (fractional)
Fe  0.000  0.000  0.000
Fe  0.006  0.508  0.524
Fe  0.067  0.763  0.268
Fe  0.471  0.613  0.881
Fe  0.487  0.400  0.129
Fe  0.503  0.124  0.373
Fe  0.511  0.876  0.634
Fe  0.974  0.242  0.729
O  0.185  0.456  0.724
O  0.195  0.720  0.484
O  0.200  0.986  0.224
O  0.299  0.599  0.115
O  0.790  0.276  0.517
O  0.820  0.033  0.790
F  0.212  0.226  0.979
F  0.296  0.857  0.868
F  0.301  0.105  0.593
F  0.307  0.349  0.341
F  0.694  0.164  0.153
F  0.705  0.905  0.390
F  0.708  0.646  0.663
F  0.712  0.394  0.916
F  0.802  0.529  0.283
F  0.807  0.780  0.036

ii.
Entry from Materials Project: Fe4O3F5 after structural relaxation (GGA+U).

Properties
SG ... Cm (8)
Total magnetization ... 19.00 μB per formula unit

a b c (Å): 5.701 5.701 4.800
angles (deg): 93.61 93.61 65.62
Element x y z (fractional)
Fe  0.000  0.000  0.000
Fe  0.504  0.504  0.005
Fe  0.505  0.983  0.487
Fe  0.983  0.505  0.487
O  0.153  0.153  0.299
O  0.650  0.650  0.308
O  0.849  0.849  0.700
F  0.139  0.657  0.197
F  0.338  0.862  0.795
F  0.349  0.349  0.692
F  0.657  0.139  0.197
F  0.862  0.338  0.795

List of relative energies, unit meV/atom: i 10; ii 0

i.
Entry from Materials Project: MgFe4Cu2O8 after structural relaxation (GGA+U).

Properties
SG ... C2/m (12)
Total magnetization ... 19.85 μB per formula unit

a b c (Å): 5.999 5.999 6.315
angles (deg): 118.52 118.52 59.98
Element x y z (fractional)
Mg  0.000  0.000  0.000
Fe  0.000  0.500  0.000
Fe  0.500  0.000  0.000
Fe  0.500  0.500  0.000
Fe  0.500  0.500  0.500
Cu  0.153  0.153  0.462
Cu  0.847  0.847  0.538
O  0.246  0.246  0.226
O  0.246  0.735  0.226
O  0.265  0.754  0.774
O  0.272  0.272  0.815
O  0.728  0.728  0.185
O  0.735  0.246  0.226
O  0.754  0.265  0.774
O  0.754  0.754  0.774

ii.
Entry from Materials Project: MgFe4Cu2O8 after structural relaxation (GGA+U).

Properties
SG ... C2/m (12)
Total magnetization ... 20.00 μB per formula unit

a b c (Å): 5.953 5.953 6.017
angles (deg): 113.86 113.86 60.42
Element x y z (fractional)
Mg  0.000  0.000  0.000
Fe  0.000  0.500  0.000
Fe  0.130  0.130  0.466
Fe  0.500  0.000  0.000
Fe  0.870  0.870  0.534
Cu  0.500  0.500  0.000
Cu  0.500  0.500  0.500
O  0.209  0.750  0.253
O  0.220  0.220  0.217
O  0.250  0.791  0.747
O  0.283  0.283  0.810
O  0.717  0.717  0.190
O  0.750  0.209  0.253
O  0.780  0.780  0.783
O  0.791  0.250  0.747

List of relative energies, unit meV/atom: i 0; ii 114

i.
Entry from Materials Project: FeSO8 after structural relaxation (GGA+U).

Properties
SG ... P-1 (2)
Total magnetization ... 8.00 μB per formula unit

a b c (Å): 6.669 8.854 11.637
angles (deg): 80.56 84.78 88.06
Element x y z (fractional)
Fe  0.179  0.440  0.068
Fe  0.201  0.415  0.760
Fe  0.799  0.585  0.240
Fe  0.821  0.560  0.932
S  0.089  0.313  0.347
S  0.473  0.737  0.075
S  0.527  0.263  0.925
S  0.911  0.687  0.653
O  0.008  0.200  0.741
O  0.012  0.529  0.659
O  0.034  0.866  0.917
O  0.050  0.809  0.602
O  0.101  0.479  0.906
O  0.121  0.810  0.328
O  0.163  0.298  0.222
O  0.170  0.903  0.841
O  0.261  0.304  0.418
O  0.347  0.594  0.113
O  0.350  0.873  0.058
O  0.389  0.257  0.831
O  0.399  0.288  0.034
O  0.403  0.009  0.230
O  0.413  0.429  0.610
O  0.447  0.537  0.667
O  0.553  0.463  0.333
O  0.587  0.571  0.390
O  0.597  0.991  0.770
O  0.601  0.712  0.966
O  0.611  0.743  0.169
O  0.650  0.127  0.942
O  0.653  0.406  0.887
O  0.739  0.696  0.582
O  0.830  0.097  0.159
O  0.837  0.702  0.778
O  0.879  0.190  0.672
O  0.899  0.521  0.094
O  0.950  0.191  0.398
O  0.966  0.134  0.083
O  0.988  0.471  0.341
O  0.992  0.800  0.259

ii.
Entry from Materials Project: FeSO8 after structural relaxation (GGA+U).

Properties
SG ... P2_1/c (14)
Total magnetization ... 5.99 μB per formula unit

a b c (Å): 6.629 13.938 10.044
angles (deg): 90.00 121.57 90.00
Element x y z (fractional)
Fe  0.247  0.095  0.291
Fe  0.247  0.405  0.791
Fe  0.753  0.595  0.209
Fe  0.753  0.905  0.709
S  0.472  0.607  0.826
S  0.472  0.893  0.326
S  0.528  0.107  0.674
S  0.528  0.393  0.174
O  0.140  0.209  0.268
O  0.140  0.291  0.768
O  0.251  0.126  0.128
O  0.251  0.374  0.628
O  0.256  0.545  0.767
O  0.256  0.955  0.267
O  0.291  0.582  0.417
O  0.291  0.918  0.917
O  0.348  0.074  0.511
O  0.348  0.426  0.011
O  0.402  0.079  0.759
O  0.402  0.421  0.259
O  0.409  0.707  0.811
O  0.409  0.793  0.311
O  0.415  0.639  0.518
O  0.415  0.861  0.018
O  0.585  0.139  0.982
O  0.585  0.361  0.482
O  0.591  0.207  0.689
O  0.591  0.293  0.189
O  0.598  0.579  0.741
O  0.598  0.921  0.241
O  0.652  0.574  0.989
O  0.652  0.926  0.489
O  0.709  0.082  0.083
O  0.709  0.418  0.583
O  0.744  0.045  0.733
O  0.744  0.455  0.233
O  0.749  0.626  0.372
O  0.749  0.874  0.872
O  0.860  0.709  0.232
O  0.860  0.791  0.732

List of relative energies, unit meV/atom: i 0; ii 186